Li32Mn3Cr13O48 | PBE with a Hubbard U | optimized geometry

Magnetization: 35.0 μB/f.u.
ΔE_f: -2.223 eV per atom
Volume: 842 Å³ per cell

a b c (Å): 5.0385 8.6927 19.4933
angles (deg): 98.08 95.04 89.70
Last column: nearest neighbours and their distance in Å.
Fractional positions:
Li: 0.9893 0.1692 0.2500  6 O 2.07-2.22
Li: 0.8749 0.3755 0.3751  6 O 2.08-2.13
Li: 0.7511 0.2506 0.0001  6 O 2.03-2.23
Li: 0.7433 0.9201 0.9997  6 O 2.06-2.22
Li: 0.9935 0.1694 0.7489  6 O 2.05-2.25
Li: 0.7576 0.5804 0.5000  6 O 2.04-2.23
Li: 0.8738 0.3764 0.8752  6 O 2.07-2.14
Li: 0.7517 0.2495 0.5002  6 O 2.03-2.20
Li: 0.7424 0.9207 0.4992  6 O 2.06-2.22
Li: 0.6266 0.1255 0.1247  6 O 2.08-2.14
Li: 0.7579 0.5789 0.9994  6 O 2.06-2.24
Li: 0.5113 0.3315 0.2504  6 O 2.06-2.23
Li: 0.6247 0.1267 0.6252  6 O 2.08-2.13
Li: 0.5019 0.0006 0.2506  6 O 2.03-2.20
Li: 0.4899 0.6687 0.2495  6 O 2.05-2.22
Li: 0.5069 0.3306 0.7493  6 O 2.05-2.22
Li: 0.3736 0.8743 0.3750  6 O 2.08-2.13
Li: 0.5002 0.0002 0.7500  6 O 2.02-2.17
Li: 0.2484 0.7501 0.9993  6 O 2.03-2.21
Li: 0.4934 0.6692 0.7505  6 O 2.06-2.21
Li: 0.2409 0.4189 0.9998  6 O 2.05-2.22
Li: 0.3758 0.8744 0.8747  6 O 2.08-2.12
Li: 0.2547 0.0801 0.5003  6 O 2.06-2.22
Li: 0.2522 0.7484 0.5000  6 O 2.03-2.22
Li: 0.1228 0.6239 0.1252  6 O 2.08-2.14
Li: 0.2437 0.4218 0.5010  6 O 2.05-2.24
Li: 0.0079 0.8309 0.2506  6 O 2.07-2.18
Li: 0.2581 0.0793 0.0004  6 O 2.06-2.22
Li: 0.1271 0.6231 0.6248  6 O 2.07-2.14
Li: 0.9991 0.5009 0.2497  6 O 2.03-2.22
Li: 0.0061 0.8308 0.7511  6 O 2.05-2.25
Li: 0.0001 0.4993 0.7500  6 O 2.04-2.19
Mn: 0.8748 0.0417 0.3747  6 O 1.92-1.95
Mn: 0.8718 0.7090 0.8739  6 O 1.91-1.96
Mn: 0.1284 0.2907 0.6260  6 O 1.91-1.96
Cr: 0.8734 0.7120 0.3755  6 O 1.90-1.99
Cr: 0.8804 0.0456 0.8753  6 O 1.89-2.00
Cr: 0.6280 0.7969 0.1260  6 O 1.88-1.99
Cr: 0.6200 0.4611 0.1255  6 O 1.89-1.99
Cr: 0.6216 0.7961 0.6239  6 O 1.89-1.99
Cr: 0.6300 0.4589 0.6253  6 O 1.90-1.98
Cr: 0.3813 0.5393 0.3755  6 O 1.89-1.98
Cr: 0.3674 0.2063 0.3746  6 O 1.90-2.00
Cr: 0.3704 0.5416 0.8746  6 O 1.90-1.98
Cr: 0.3794 0.2051 0.8761  6 O 1.89-1.98
Cr: 0.1224 0.9526 0.1241  6 O 1.87-1.99
Cr: 0.1297 0.2885 0.1246  6 O 1.89-1.99
Cr: 0.1208 0.9540 0.6246  6 O 1.88-2.01
O: 0.9637 0.1019 0.0685  2 Cr 1.93-1.97, 2 Li 2.07-2.09
O: 0.9362 0.7870 0.0688  2 Cr 1.87-1.98, 2 Li 2.07-2.08
O: 0.9262 0.4270 0.0682  2 Cr 1.97-1.98, 4 Li 2.03-2.15
O: 0.9660 0.1079 0.5696  1 Mn 1.94, 1 Cr 1.95, 3 Li 2.06-2.17
O: 0.8137 0.9629 0.1812  2 Cr 1.88-1.99, 2 Li 2.07-2.08
O: 0.8240 0.3234 0.1819  2 Cr 1.96-1.98, 4 Li 2.04-2.15
O: 0.9345 0.7888 0.5684  2 Cr 1.88-1.98, 1 Li 2.06
O: 0.9266 0.4265 0.5683  1 Cr 1.94, 1 Mn 1.96, 4 Li 2.03-2.15
O: 0.7862 0.6479 0.1816  2 Cr 1.93-1.97, 2 Li 2.07-2.10
O: 0.7136 0.8580 0.3192  1 Cr 1.92, 1 Mn 1.94, 2 Li 2.07-2.10
O: 0.8150 0.9595 0.6814  2 Cr 1.90-1.97, 2 Li 2.05-2.12
O: 0.8273 0.3201 0.6825  1 Mn 1.95, 1 Cr 1.97, 4 Li 2.04-2.16
O: 0.6692 0.5359 0.3189  2 Cr 1.90-1.99, 2 Li 2.05-2.11
O: 0.6799 0.1781 0.3179  1 Mn 1.94, 1 Cr 2.00, 4 Li 2.04-2.13
O: 0.7792 0.6406 0.6802  2 Cr 1.90-1.98, 1 Li 2.06
O: 0.7113 0.8560 0.8191  1 Mn 1.91, 1 Cr 2.00, 2 Li 2.07-2.08
O: 0.4687 0.6058 0.0696  2 Cr 1.89-1.99, 1 Li 2.08
O: 0.5826 0.7157 0.4313  2 Cr 1.90-1.98, 2 Li 2.04-2.10
O: 0.5744 0.0739 0.4315  1 Cr 1.95, 1 Mn 1.95, 3 Li 2.04-2.13
O: 0.6808 0.5354 0.8190  1 Mn 1.93, 1 Cr 1.98, 2 Li 2.06-2.07
O: 0.6823 0.1730 0.8178  2 Cr 1.90-1.98, 1 Li 2.02
O: 0.4334 0.9228 0.0673  2 Cr 1.90-1.99, 2 Li 2.03-2.13
O: 0.4183 0.2839 0.0689  2 Cr 1.89-1.99, 2 Li 2.05-2.09
O: 0.5329 0.3952 0.4314  2 Cr 1.89-1.99, 1 Li 2.07
O: 0.4650 0.6096 0.5684  2 Cr 1.95-1.97, 3 Li 2.06-2.14
O: 0.5727 0.7124 0.9305  1 Mn 1.94, 1 Cr 1.95, 2 Li 2.06-2.09
O: 0.5681 0.0737 0.9328  2 Cr 1.89-2.00, 2 Li 2.04-2.12
O: 0.3167 0.8267 0.1828  2 Cr 1.90-1.99, 2 Li 2.03-2.13
O: 0.3312 0.4662 0.1813  2 Cr 1.89-1.99, 2 Li 2.06-2.09
O: 0.4330 0.9259 0.5670  2 Cr 1.89-2.01, 1 Li 2.04
O: 0.4271 0.2873 0.5694  1 Mn 1.94, 1 Cr 1.95, 2 Li 2.05-2.09
O: 0.5340 0.3910 0.9317  2 Cr 1.94-1.97, 3 Li 2.06-2.16
O: 0.2812 0.1438 0.1804  2 Cr 1.89-1.99, 1 Li 2.08
O: 0.2187 0.3521 0.3185  2 Cr 1.90-1.97, 1 Li 2.06
O: 0.3162 0.8269 0.6824  2 Cr 1.90-1.99, 1 Li 2.03
O: 0.3203 0.4644 0.6811  1 Mn 1.94, 1 Cr 1.98, 2 Li 2.05-2.07
O: 0.1725 0.6766 0.3181  2 Cr 1.95-1.98, 4 Li 2.03-2.17
O: 0.1740 0.0333 0.3187  1 Mn 1.93, 1 Cr 1.94, 2 Li 2.07-2.08
O: 0.2884 0.1433 0.6809  1 Mn 1.91, 1 Cr 1.99, 2 Li 2.07-2.08
O: 0.2202 0.3597 0.8197  2 Cr 1.90-1.98, 2 Li 2.07-2.13
O: 0.0763 0.5730 0.4321  2 Cr 1.97, 4 Li 2.03-2.16
O: 0.0703 0.2139 0.4304  1 Cr 1.92, 1 Mn 1.94, 2 Li 2.07-2.08
O: 0.1728 0.6794 0.8176  1 Mn 1.94, 1 Cr 1.96, 4 Li 2.04-2.16
O: 0.1835 0.0403 0.8187  2 Cr 1.91-1.96, 2 Li 2.05-2.11
O: 0.0385 0.8968 0.4313  1 Mn 1.92, 1 Cr 1.96, 2 Li 2.07-2.09
O: 0.0725 0.5731 0.9317  1 Cr 1.94, 1 Mn 1.96, 4 Li 2.03-2.15
O: 0.0672 0.2119 0.9315  2 Cr 1.89-1.98, 2 Li 2.06-2.11
O: 0.0332 0.8919 0.9305  1 Mn 1.94, 1 Cr 1.94, 3 Li 2.06-2.17

SrEuNiO4 | PBE with a Hubbard U | optimized geometry

Magnetization: 7.0 μB/f.u.
Energy above the lowest structure with this stoichiometry: 0 meV/atom
ΔE_f: -2.380 eV per atom
Volume: 90 Å³ per cell

a b c (Å): 6.7111 6.7111 6.7111
angles (deg): 146.84 146.84 47.60
Last column: nearest neighbours and their distance in Å.
Fractional positions:
Sr: 0.6423 0.6423 0.0000  5 O 2.42-2.65
Eu: 0.3605 0.3605 0.0000  5 O 2.34-2.51
Ni: 0.0017 0.0017 0.0000  6 O 1.92-2.07
O: 0.9930 0.4930 0.5000  2 Ni 1.92
O: 0.4930 0.9930 0.5000  2 Ni 1.92
O: 0.8394 0.8394 0.0000  1 Ni 1.99
O: 0.1700 0.1700 0.0000  1 Ni 2.07

Li9Mn2Co5O16 | PBE with a Hubbard U | optimized geometry

Magnetization: 12.0 μB/f.u.
Energy above the lowest structure with this stoichiometry: 47 meV/atom
ΔE_f: -1.817 eV per atom
Volume: 286 Å³ per cell

a b c (Å): 5.9162 6.4847 7.7797
angles (deg): 87.04 80.40 76.46
Last column: nearest neighbours and their distance in Å.
Fractional positions:
Li: 0.9368 0.8800 0.3699  6 O 2.06-2.22
Li: 0.6827 0.3699 0.8829  6 O 2.09-2.25
Li: 0.5736 0.1379 0.6082  5 O 2.06-2.25
Li: 0.3149 0.6136 0.1367  4 O 2.03-2.14
Li: 0.1882 0.3676 0.8809  6 O 2.04-2.24
Li: 0.8110 0.6172 0.1325  6 O 2.05-2.22
Li: 0.4406 0.8841 0.3691  5 O 2.02-2.23
Li: 0.0602 0.1313 0.6205  6 O 2.04-2.25
Li: 0.6289 0.2529 0.2487  6 O 2.06-2.20
Mn: 0.9962 0.9993 0.0048  6 O 1.89-1.99
Mn: 0.8751 0.7514 0.7481  6 O 1.92-1.97
Co: 0.7520 0.5057 0.4952  5 O 1.90-2.11
Co: 0.5005 0.0015 0.0048  4 O 1.88-1.99
Co: 0.2610 0.4897 0.4870  4 O 1.87-2.08
Co: 0.3764 0.7384 0.7465  5 O 1.86-2.08
Co: 0.1209 0.2523 0.2499  6 O 1.99-2.06
O: 0.2005 0.9382 0.1788  1 Mn 1.93, 2 Li 2.06-2.08, 2 Co 2.06-2.15
O: 0.9562 0.4612 0.6759  1 Mn 1.92, 1 Co 1.97, 1 Li 2.13
O: 0.8491 0.2143 0.4345  2 Co 1.90-2.02, 3 Li 2.04-2.07
O: 0.6082 0.7090 0.9242  2 Co 1.96-2.08, 1 Mn 1.97, 2 Li 2.15-2.17
O: 0.4562 0.4505 0.6947  1 Co 1.86
O: 0.0817 0.7020 0.9242  2 Mn 1.95-1.98, 1 Co 2.09, 1 Li 2.14
O: 0.7288 0.9450 0.1625  1 Mn 1.92, 1 Co 1.93, 2 Li 2.06-2.08
O: 0.3301 0.1989 0.4409  2 Co 1.87-2.05, 3 Li 2.05-2.07
O: 0.6607 0.8032 0.5762  1 Mn 1.96, 2 Co 1.98-2.07, 1 Li 2.13
O: 0.4004 0.2881 0.0677  2 Co 1.88-2.04, 2 Li 2.04-2.08
O: 0.2766 0.0361 0.8354  2 Co 1.99-2.01, 1 Mn 1.99, 1 Li 2.12
O: 0.0387 0.5575 0.3103  3 Co 1.99-2.11, 3 Li 2.03-2.09
O: 0.9200 0.2912 0.0602  1 Mn 1.89, 1 Co 2.01, 3 Li 2.07-2.12
O: 0.5318 0.5662 0.3355  2 Co 1.91-1.97, 3 Li 2.02-2.14
O: 0.1385 0.7985 0.5768  1 Mn 1.95, 2 Co 2.05-2.08, 2 Li 2.13
O: 0.8035 0.0474 0.8166  2 Mn 1.95-1.97, 2 Li 2.11

GdYFe2O6 | PBE with a Hubbard U | optimized geometry

Magnetization: 3.0 μB/f.u.
ΔE_f: -2.816 eV per atom
Volume: 236 Å³ per cell

a b c (Å): 5.3802 5.6580 7.7583
angles (deg): 90.00 90.00 90.00
Last column: nearest neighbours and their distance in Å.
Fractional positions:
Gd: 0.2325 0.4367 0.5000  4 O 2.28-2.35
Gd: 0.7675 0.9367 0.5000  4 O 2.28-2.35
Y: 0.2668 0.5663 0.0000  4 O 2.25-2.32
Y: 0.7332 0.0663 0.0000  4 O 2.25-2.32
Fe: 0.2500 0.0005 0.2484  6 O 2.03-2.06
Fe: 0.7500 0.5005 0.7516  6 O 2.03-2.06
Fe: 0.2500 0.0005 0.7516  6 O 2.03-2.06
Fe: 0.7500 0.5005 0.2484  6 O 2.03-2.06
O: 0.5559 0.8041 0.8100  2 Fe 2.04-2.06
O: 0.4441 0.3041 0.1900  2 Fe 2.04-2.06
O: 0.9438 0.1964 0.3051  2 Fe 2.03-2.06
O: 0.0562 0.6964 0.6949  2 Fe 2.03-2.06
O: 0.9438 0.1964 0.6949  2 Fe 2.03-2.06
O: 0.0562 0.6964 0.3051  2 Fe 2.03-2.06
O: 0.5559 0.8041 0.1900  2 Fe 2.04-2.06
O: 0.4441 0.3041 0.8100  2 Fe 2.04-2.06
O: 0.1348 0.9563 0.0000  2 Fe 2.04, 1 Y 2.25
O: 0.8652 0.4563 0.0000  2 Fe 2.04, 1 Y 2.25
O: 0.3583 0.0386 0.5000  2 Fe 2.05, 1 Gd 2.28
O: 0.6417 0.5386 0.5000  2 Fe 2.05, 1 Gd 2.28

Number 2 is which compound?
SrEuNiO4

The highest ΔE_f belongs to which entry?
Li9Mn2Co5O16

Which of these has the highest volume?
Li32Mn3Cr13O48

Among the records above, which one has the lowest ΔE_f?
GdYFe2O6